PBE+U Fe4OF6, relaxed; space-group type = P1; total energy = -127.15 eV for the cell shown
1.0
2.001 -3.140 3.587
-3.469 -5.551 -2.984
5.717 -1.074 -4.197
Fe O F
8 2 12
direct
0.442 0.508 0.744
0.942 0.744 0.508
0.965 0.744 0.020
0.465 0.021 0.744
0.534 0.979 0.254
0.058 0.257 0.492
0.035 0.255 0.980
0.558 0.492 0.256
0.250 0.250 0.750
0.750 0.749 0.250
0.876 0.291 0.235
0.375 0.234 0.289
0.126 0.710 0.765
0.627 0.766 0.712
0.748 0.037 0.965
0.756 0.059 0.527
0.750 0.462 0.539
0.744 0.473 0.940
0.256 0.527 0.059
0.250 0.538 0.461
0.248 0.964 0.036
0.245 0.940 0.473